(1)
# MnI2O6

A geometry-optimized MnI2O6 structure (PBE+U, the Materials Project).

abc: 5.5082 5.8001 17.4140
angles: 90.00 90.00 90.00
Space group P2_12_12_1 (No. 19)
Unique sites:
Mn 0.2096 0.1703 0.0939 x4
I 0.0351 0.8630 0.9234 x4
I 0.2462 0.7182 0.2915 x4
O 0.0234 0.0299 0.2051 x4
O 0.0364 0.4792 0.8388 x4
O 0.0538 0.6114 0.5156 x4
O 0.1104 0.5009 0.6623 x4
O 0.1284 0.8747 0.3775 x4
O 0.2252 0.1753 0.5470 x4

* final energy: -185.70 eV/cell
* energy with MP2020 corrections: -208.862 eV/cell
* formation energy from the elements: -1.15 eV/atom

***

(2)
# MnI2O6

A geometry-optimized MnI2O6 structure (PBE+U, the Materials Project).

abc: 6.8626 11.3013 8.3796
angles: 90.00 122.10 90.00
Space group P2_1/c (No. 14)
Unique sites:
Mn 0.1852 0.1011 0.4811 x4
I 0.2273 0.0783 0.9653 x4
I 0.3371 0.7117 0.0620 x4
O 0.0167 0.5383 0.3278 x4
O 0.0480 0.2130 0.8835 x4
O 0.1352 0.5895 0.0212 x4
O 0.3737 0.0959 0.8328 x4
O 0.4334 0.1131 0.4033 x4
O 0.4584 0.7369 0.3146 x4

* final energy: -184.84 eV/cell
* energy with MP2020 corrections: -207.996 eV/cell
* formation energy from the elements: -1.12 eV/atom

***

(3)
# MnI2O6

A geometry-optimized MnI2O6 structure (PBE+U, the Materials Project).

abc: 14.9653 6.8318 5.4604
angles: 90.00 90.00 90.00
Space group Pbcn (No. 60)
Unique sites:
Mn 0.0000 0.1451 0.2500 x4
I 0.1516 0.2872 0.7482 x8
O 0.0789 0.1072 0.9108 x8
O 0.0836 0.3370 0.4713 x8
O 0.2376 0.1264 0.6274 x8

* final energy: -184.91 eV/cell
* energy with MP2020 corrections: -208.067 eV/cell
* total magnetic moment: 20.001 Bohr magnetons per cell
* formation energy from the elements: -1.12 eV/atom

***

Look up the energy with MP2020 corrections of the third one. -208.067 eV/cell

***

Which value of energy with MP2020 corrections does entry 3 give? -208.067 eV/cell

***

Which of these has the lowest formation energy from the elements? number 1

***

Repeat the second record exactly.
# MnI2O6

A geometry-optimized MnI2O6 structure (PBE+U, the Materials Project).

abc: 6.8626 11.3013 8.3796
angles: 90.00 122.10 90.00
Space group P2_1/c (No. 14)
Unique sites:
Mn 0.1852 0.1011 0.4811 x4
I 0.2273 0.0783 0.9653 x4
I 0.3371 0.7117 0.0620 x4
O 0.0167 0.5383 0.3278 x4
O 0.0480 0.2130 0.8835 x4
O 0.1352 0.5895 0.0212 x4
O 0.3737 0.0959 0.8328 x4
O 0.4334 0.1131 0.4033 x4
O 0.4584 0.7369 0.3146 x4

* final energy: -184.84 eV/cell
* energy with MP2020 corrections: -207.996 eV/cell
* formation energy from the elements: -1.12 eV/atom